# 1
Here is a relaxed SrMn2BiO6 crystal from the Materials Project. Energies are from PBE+U.

Values from the calculation:
DFT formation energy ... -2.118 eV/atom
Energy relative to the lowest polymorph listed for this composition ... 28 meV/atom
Theoretical density ... 6.82 g/cm3
Spin magnetization ... 7.000 Bohr magnetons per cell
Space-group type ... C2, No. 5

Unit cell a=5.4719 b=5.4719 c=5.5513 alpha=118.59 beta=118.59 gamma=90.00
With the nearest neighbours (Å) after each atom.
Fractional positions:
Sr 0.0000 0.0000 0.0000  12 O 2.69-2.89
Mn 0.2415 0.7585 0.5000  4 O 1.89-2.00
Mn 0.7389 0.2611 0.5000  6 O 1.89-1.96
Bi 0.5447 0.4553 0.0000  4 O 2.29-2.37
O 0.4857 0.5143 0.5000  2 Mn 1.89-1.96
O 0.4880 0.0424 0.5272  2 Mn 1.93-1.96
O 0.5053 0.0557 0.0315  1 Mn 1.92
O 0.9443 0.4947 0.9685  1 Mn 1.92
O 0.9576 0.5120 0.4728  2 Mn 1.93-1.96
O 0.9836 0.0164 0.5000  2 Mn 1.89-2.00



# 2
Here is a relaxed SrMn2BiO6 crystal from the Materials Project. Energies are from PBE+U.

Values from the calculation:
DFT formation energy ... -2.140 eV/atom
Energy relative to the lowest polymorph listed for this composition ... 6 meV/atom
Theoretical density ... 6.81 g/cm3
Spin magnetization ... 7.000 Bohr magnetons per cell
Space-group type ... I4mm, No. 107

Unit cell a=5.5865 b=5.5865 c=5.5865 alpha=120.43 beta=120.43 gamma=89.26
With the nearest neighbours (Å) after each atom.
Fractional positions:
Sr 0.0000 0.0000 0.0000  12 O 2.72-2.89
Mn 0.2420 0.7420 0.5000  6 O 1.94-2.04
Mn 0.7420 0.2420 0.5000  6 O 1.94-2.04
Bi 0.5444 0.5444 0.0000  4 O 2.35
O 0.4852 0.4852 0.5242  2 Mn 1.97
O 0.4852 0.9610 0.0000  2 Mn 1.97
O 0.4856 0.9856 0.5000  2 Mn 1.94-2.04
O 0.9610 0.4852 0.0000  2 Mn 1.97
O 0.9610 0.9610 0.4758  2 Mn 1.97
O 0.9856 0.4856 0.5000  2 Mn 1.94-2.04



# 3
Here is a relaxed Sr3Ti2Mn2BiO12 crystal from the Materials Project. Energies are from PBE+U.

Values from the calculation:
DFT formation energy ... -2.809 eV/atom
Theoretical density ... 6.00 g/cm3
Spin magnetization ... 7.001 Bohr magnetons per cell
Space-group type ... R-3m, No. 166

Unit cell a=9.5715 b=9.5715 c=9.5715 alpha=33.72 beta=33.72 gamma=33.72
With the nearest neighbours (Å) after each atom.
Fractional positions:
Sr 0.0000 0.0000 0.0000  12 O 2.78-2.81
Sr 0.2487 0.2487 0.2487  12 O 2.74-2.79
Sr 0.7513 0.7513 0.7513  12 O 2.74-2.79
Ti 0.3754 0.3754 0.3754  6 O 1.96-1.97
Ti 0.6246 0.6246 0.6246  6 O 1.96-1.97
Mn 0.1253 0.1253 0.1253  6 O 1.96
Mn 0.8747 0.8747 0.8747  6 O 1.96
Bi 0.5000 0.5000 0.5000  12 O 2.72-2.78
O 0.0000 0.0000 0.5000  2 Mn 1.96
O 0.0000 0.5000 0.0000  2 Mn 1.96
O 0.0000 0.5000 0.5000  2 Ti 1.97
O 0.2529 0.7464 0.7464  1 Ti 1.96, 1 Mn 1.96
O 0.2536 0.2536 0.7471  1 Ti 1.96, 1 Mn 1.96
O 0.2536 0.7471 0.2536  1 Ti 1.96, 1 Mn 1.96
O 0.5000 0.0000 0.0000  2 Mn 1.96
O 0.5000 0.0000 0.5000  2 Ti 1.97
O 0.5000 0.5000 0.0000  2 Ti 1.97
O 0.7464 0.2529 0.7464  1 Ti 1.96, 1 Mn 1.96
O 0.7464 0.7464 0.2529  1 Ti 1.96, 1 Mn 1.96
O 0.7471 0.2536 0.2536  1 Ti 1.96, 1 Mn 1.96



# 4
Here is a relaxed NaBiMo2O8 crystal from the Materials Project. Energies are from PBE+U.

Values from the calculation:
DFT formation energy ... -2.000 eV/atom
Theoretical density ... 5.54 g/cm3
Spin magnetization ... 0.000 Bohr magnetons per cell
Space-group type ... I-4, No. 82
Largest piezoelectric modulus ... 1.8 C/m²

Unit cell a=6.9371 b=6.9371 c=6.9371 alpha=134.83 beta=134.83 gamma=65.80
With the nearest neighbours (Å) after each atom.
Fractional positions:
Na 0.0000 0.0000 0.0000  8 O 2.53-2.55
Bi 0.7500 0.2500 0.5000  8 O 2.47-2.48
Mo 0.2500 0.7500 0.5000  4 O 1.81
Mo 0.5000 0.5000 0.0000  4 O 1.81
O 0.0120 0.4253 0.1021  1 Mo 1.81
O 0.0900 0.9880 0.4133  1 Mo 1.81
O 0.1718 0.5584 0.9028  1 Mo 1.81
O 0.3233 0.9100 0.8979  1 Mo 1.81
O 0.4416 0.3444 0.6134  1 Mo 1.81
O 0.5747 0.6767 0.5867  1 Mo 1.81
O 0.6556 0.2691 0.0972  1 Mo 1.81
O 0.7309 0.8282 0.3866  1 Mo 1.81